1.
{
  "formula": "Nb2Br5",
  "functional": "PBE",
  "state": "relaxed",
  "lattice": [[-4.5844, 0.7021, -8.0987], [-1.6152, -8.2565, 4.0397], [-4.7695, 2.3539, 2.9039]],
  "species": ["Nb", "Nb", "Nb", "Nb", "Br", "Br", "Br", "Br", "Br", "Br", "Br", "Br", "Br", "Br"],
  "frac_coords": [[0.8646, 0.8646, 0.0000], [0.8646, 0.8646, 0.5000], [0.1354, 0.1354, 0.5000], [0.1354, 0.1354, 0.0000], [0.0400, 0.3180, 0.7500], [0.3875, 0.2510, 0.7500], [0.8876, 0.1124, 0.2500], [0.1124, 0.8876, 0.7500], [0.2510, 0.3875, 0.2500], [0.7490, 0.6125, 0.7500], [0.3180, 0.0400, 0.2500], [0.6125, 0.7490, 0.2500], [0.6820, 0.9600, 0.7500], [0.9600, 0.6820, 0.2500]],
  "magnetic_moment_mub_per_fu": 0.02,
  "sg": "Cmcm",
  "dft_energy_ev_per_cell": -68.4,
  "e_above_lowest_polymorph_mev_per_atom": 0.0,
  "e_form_mev_per_atom": -1214
}

2.
{
  "formula": "Rb4Au6S5",
  "functional": "PBE",
  "state": "relaxed",
  "lattice": [[5.0985, -8.8309, 0.0000], [5.0985, 8.8309, 0.0000], [0.0000, 0.0000, 10.2783]],
  "species": ["Rb", "Rb", "Rb", "Rb", "Rb", "Rb", "Rb", "Rb", "Au", "Au", "Au", "Au", "Au", "Au", "Au", "Au", "Au", "Au", "Au", "Au", "S", "S", "S", "S", "S", "S", "S", "S", "S", "S"],
  "frac_coords": [[0.4204, 0.0760, 0.2500], [0.9240, 0.3444, 0.2500], [0.6556, 0.5796, 0.2500], [0.5796, 0.6556, 0.7500], [0.3444, 0.9240, 0.7500], [0.0000, 0.0000, 0.0000], [0.0000, 0.0000, 0.5000], [0.0760, 0.4204, 0.7500], [0.8274, 0.5446, 0.5937], [0.7172, 0.1726, 0.5937], [0.4554, 0.2828, 0.5937], [0.2828, 0.4554, 0.4063], [0.7172, 0.1726, 0.9063], [0.8274, 0.5446, 0.9063], [0.1726, 0.7172, 0.0937], [0.5446, 0.8274, 0.0937], [0.5446, 0.8274, 0.4063], [0.1726, 0.7172, 0.4063], [0.2828, 0.4554, 0.0937], [0.4554, 0.2828, 0.9063], [0.7312, 0.9595, 0.2500], [0.3333, 0.6667, 0.5355], [0.3333, 0.6667, 0.9645], [0.6667, 0.3333, 0.0355], [0.6667, 0.3333, 0.4645], [0.9595, 0.7312, 0.7500], [0.7717, 0.0405, 0.7500], [0.2688, 0.2283, 0.7500], [0.0405, 0.7717, 0.2500], [0.2283, 0.2688, 0.2500]],
  "sg": "P-62c",
  "dft_energy_ev_per_cell": -108.0,
  "e_form_mev_per_atom": -818
}

3.
{
  "formula": "CsH4CN3",
  "functional": "PBE",
  "state": "relaxed",
  "lattice": [[7.3889, 0.0000, 0.0000], [0.0000, 7.2236, 0.0000], [0.0000, 0.0000, 8.1633]],
  "species": ["Cs", "Cs", "Cs", "Cs", "H", "H", "H", "H", "H", "H", "H", "H", "H", "H", "H", "H", "H", "H", "H", "H", "C", "C", "C", "C", "N", "N", "N", "N", "N", "N", "N", "N", "N", "N", "N", "N"],
  "frac_coords": [[0.5055, 0.2500, 0.9043], [0.0055, 0.2500, 0.5957], [0.4945, 0.7500, 0.0957], [0.9945, 0.7500, 0.4043], [0.9471, 0.3702, 0.9563], [0.4471, 0.1298, 0.5437], [0.0529, 0.8702, 0.0437], [0.5529, 0.6298, 0.4563], [0.0529, 0.6298, 0.0437], [0.5529, 0.8702, 0.4563], [0.9471, 0.1298, 0.9563], [0.4471, 0.3702, 0.5437], [0.7210, 0.5992, 0.7368], [0.2210, 0.9008, 0.7632], [0.2790, 0.0992, 0.2632], [0.7790, 0.4008, 0.2368], [0.2790, 0.4008, 0.2632], [0.7790, 0.0992, 0.2368], [0.7210, 0.9008, 0.7368], [0.2210, 0.5992, 0.7632], [0.8672, 0.7500, 0.8812], [0.3672, 0.7500, 0.6188], [0.1328, 0.2500, 0.1188], [0.6328, 0.2500, 0.3812], [0.0139, 0.2500, 0.9872], [0.5139, 0.2500, 0.5128], [0.9861, 0.7500, 0.0128], [0.4861, 0.7500, 0.4872], [0.8136, 0.5814, 0.8294], [0.3136, 0.9186, 0.6706], [0.1864, 0.0814, 0.1706], [0.6864, 0.4186, 0.3294], [0.1864, 0.4186, 0.1706], [0.6864, 0.0814, 0.3294], [0.8136, 0.9186, 0.8294], [0.3136, 0.5814, 0.6706]],
  "magnetic_moment_mub_per_fu": 0.00,
  "sg": "Pnma",
  "dft_energy_ev_per_cell": -206.1,
  "e_form_mev_per_atom": -433
}

4.
{
  "formula": "PtCI2O",
  "functional": "PBE",
  "state": "relaxed",
  "lattice": [[4.7942, 5.5913, 0.0000], [-4.7942, 5.5913, 0.0000], [0.0000, 5.4076, 12.6258]],
  "species": ["Pt", "Pt", "Pt", "Pt", "C", "C", "C", "C", "I", "I", "I", "I", "I", "I", "I", "I", "O", "O", "O", "O"],
  "frac_coords": [[0.7454, 0.9070, 0.0792], [0.2546, 0.0930, 0.9208], [0.0930, 0.2546, 0.4208], [0.9070, 0.7454, 0.5792], [0.2820, 0.4040, 0.4124], [0.5960, 0.7180, 0.0876], [0.4040, 0.2820, 0.9124], [0.7180, 0.5960, 0.5876], [0.9685, 0.5346, 0.2790], [0.8222, 0.0439, 0.4291], [0.4654, 0.0315, 0.2210], [0.9561, 0.1778, 0.0709], [0.0315, 0.4654, 0.7210], [0.5346, 0.9685, 0.7790], [0.0439, 0.8222, 0.9291], [0.1778, 0.9561, 0.5709], [0.4970, 0.4000, 0.9061], [0.6000, 0.5030, 0.5939], [0.5030, 0.6000, 0.0939], [0.4000, 0.4970, 0.4061]],
  "magnetic_moment_mub_per_fu": 0.00,
  "sg": "C2/c",
  "dft_energy_ev_per_cell": -101.2,
  "e_form_mev_per_atom": -541
}

5.
{
  "formula": "CsAlAs3H5O12",
  "functional": "PBE",
  "state": "relaxed",
  "lattice": [[-4.7253, 0.0000, 0.0000], [-2.3626, -7.5733, 0.0000], [-0.8280, 0.0000, 15.2934]],
  "species": ["Cs", "Cs", "Al", "Al", "As", "As", "As", "As", "As", "As", "H", "H", "H", "H", "H", "H", "H", "H", "H", "H", "O", "O", "O", "O", "O", "O", "O", "O", "O", "O", "O", "O", "O", "O", "O", "O", "O", "O", "O", "O", "O", "O", "O", "O"],
  "frac_coords": [[0.0148, 0.9729, 0.5011], [0.9877, 0.0271, 0.0011], [0.8912, 0.2841, 0.7474], [0.1753, 0.7159, 0.2474], [0.2972, 0.4330, 0.8705], [0.7302, 0.5670, 0.3705], [0.5309, 0.9976, 0.7505], [0.5285, 0.0024, 0.2505], [0.3483, 0.4173, 0.6221], [0.7656, 0.5827, 0.1221], [0.8668, 0.6643, 0.9000], [0.5311, 0.3357, 0.4000], [0.8366, 0.7291, 0.6954], [0.5657, 0.2709, 0.1954], [0.3183, 0.7967, 0.8179], [0.1151, 0.2033, 0.3179], [0.0841, 0.4387, 0.5013], [0.5228, 0.5613, 0.0013], [0.5584, 0.6134, 0.5535], [0.1718, 0.3866, 0.0535], [0.1102, 0.2849, 0.8492], [0.3951, 0.7151, 0.3492], [0.5587, 0.4611, 0.7948], [0.0198, 0.5389, 0.2948], [0.4159, 0.3993, 0.9745], [0.8152, 0.6007, 0.4745], [0.0548, 0.6537, 0.8663], [0.7084, 0.3463, 0.3663], [0.2266, 0.1059, 0.6954], [0.3325, 0.8941, 0.1954], [0.7417, 0.1013, 0.8020], [0.8430, 0.8987, 0.3020], [0.7479, 0.8493, 0.6715], [0.5972, 0.1507, 0.1715], [0.4416, 0.8687, 0.8366], [0.3103, 0.1313, 0.3366], [0.6784, 0.2679, 0.6450], [0.9462, 0.7321, 0.1450], [0.0398, 0.4656, 0.6917], [0.5054, 0.5344, 0.1917], [0.2685, 0.3411, 0.5215], [0.6096, 0.6589, 0.0215], [0.3902, 0.6258, 0.5999], [0.0161, 0.3742, 0.0999]],
  "magnetic_moment_mub_per_fu": 0.05,
  "sg": "Cc",
  "dft_energy_ev_per_cell": -253.0,
  "e_form_mev_per_atom": -1808
}

6.
{
  "formula": "LiNbTe3O12",
  "functional": "PBE",
  "state": "relaxed",
  "lattice": [[7.4401, 0.0000, 0.0000], [0.3260, 7.4372, 0.0000], [0.2984, 0.3278, 7.4331]],
  "species": ["Li", "Li", "Nb", "Nb", "Te", "Te", "Te", "Te", "Te", "Te", "O", "O", "O", "O", "O", "O", "O", "O", "O", "O", "O", "O", "O", "O", "O", "O", "O", "O", "O", "O", "O", "O", "O", "O"],
  "frac_coords": [[0.7767, 0.2691, 0.2728], [0.2836, 0.7924, 0.7874], [0.9951, 0.9983, 0.9998], [0.4991, 0.9987, 0.4956], [0.9997, 0.4987, 0.9949], [0.9991, 0.9945, 0.4999], [0.4996, 0.0006, 0.9995], [0.9991, 0.4991, 0.4987], [0.4987, 0.4966, 0.9982], [0.4953, 0.4997, 0.4986], [0.2495, 0.4292, 0.0590], [0.0564, 0.9444, 0.2540], [0.0528, 0.2502, 0.4286], [0.4259, 0.7446, 0.0509], [0.4399, 0.0581, 0.2428], [0.2465, 0.5664, 0.4351], [0.0615, 0.4300, 0.7464], [0.5608, 0.4304, 0.2471], [0.2426, 0.9364, 0.5639], [0.7425, 0.9446, 0.0624], [0.4416, 0.2552, 0.5545], [0.9363, 0.2566, 0.0574], [0.0609, 0.7401, 0.9343], [0.5533, 0.7410, 0.4406], [0.2531, 0.0419, 0.9341], [0.7543, 0.0554, 0.4344], [0.4321, 0.5653, 0.7489], [0.9305, 0.5553, 0.2471], [0.7477, 0.4261, 0.5487], [0.5480, 0.9371, 0.7540], [0.5662, 0.2510, 0.9346], [0.9310, 0.7438, 0.5635], [0.9389, 0.0510, 0.7437], [0.7470, 0.5651, 0.9347]],
  "magnetic_moment_mub_per_fu": 0.00,
  "sg": "P1",
  "dft_energy_ev_per_cell": -206.1,
  "e_above_lowest_polymorph_mev_per_atom": 10.9,
  "e_form_mev_per_atom": -1791
}

7.
{
  "formula": "Na8Al6Si6IClO24",
  "functional": "PBE",
  "state": "relaxed",
  "lattice": [[-8.9227, -0.5650, -1.4113], [1.1933, -7.8088, -4.4187], [-0.9418, -4.5420, 7.7724]],
  "species": ["Na", "Na", "Na", "Na", "Na", "Na", "Na", "Na", "Al", "Al", "Al", "Al", "Al", "Al", "Si", "Si", "Si", "Si", "Si", "Si", "I", "Cl", "O", "O", "O", "O", "O", "O", "O", "O", "O", "O", "O", "O", "O", "O", "O", "O", "O", "O", "O", "O", "O", "O", "O", "O"],
  "frac_coords": [[0.3075, 0.6925, 0.3075], [0.6925, 0.3075, 0.3075], [0.3075, 0.3075, 0.6925], [0.6925, 0.6925, 0.6925], [0.8151, 0.8151, 0.1849], [0.1849, 0.8151, 0.8151], [0.8151, 0.1849, 0.8151], [0.1849, 0.1849, 0.1849], [0.5000, 0.0000, 0.2501], [0.0000, 0.7499, 0.5000], [0.2501, 0.5000, 0.0000], [0.0000, 0.2501, 0.5000], [0.7499, 0.5000, 0.0000], [0.5000, 0.0000, 0.7499], [0.0000, 0.5000, 0.2498], [0.5000, 0.7502, 0.0000], [0.2498, 0.0000, 0.5000], [0.5000, 0.2498, 0.0000], [0.7502, 0.0000, 0.5000], [0.0000, 0.5000, 0.7502], [0.5000, 0.5000, 0.5000], [0.0000, 0.0000, 0.0000], [0.3491, 0.9441, 0.3588], [0.0559, 0.6412, 0.3491], [0.3588, 0.6509, 0.0559], [0.6509, 0.0559, 0.3588], [0.9441, 0.3588, 0.3491], [0.6412, 0.3491, 0.0559], [0.3491, 0.0559, 0.6412], [0.0559, 0.3588, 0.6509], [0.3588, 0.3491, 0.9441], [0.6509, 0.9441, 0.6412], [0.9441, 0.6412, 0.6509], [0.6412, 0.6509, 0.9441], [0.8496, 0.8592, 0.4435], [0.5565, 0.8496, 0.1408], [0.8592, 0.5565, 0.1504], [0.1504, 0.8592, 0.5565], [0.4435, 0.8496, 0.8592], [0.1408, 0.5565, 0.8496], [0.8496, 0.1408, 0.5565], [0.5565, 0.1504, 0.8592], [0.8592, 0.4435, 0.8496], [0.1504, 0.1408, 0.4435], [0.4435, 0.1504, 0.1408], [0.1408, 0.4435, 0.1504]],
  "magnetic_moment_mub_per_fu": 0.00,
  "sg": "P23",
  "dft_energy_ev_per_cell": -310.8,
  "e_form_mev_per_atom": -3034
}

8.
{
  "formula": "Na4Sn3F10",
  "functional": "PBE",
  "state": "relaxed",
  "lattice": [[9.2279, 6.1718, 0.0000], [-9.2279, 6.1718, 0.0000], [0.0000, 0.1574, 5.5529]],
  "species": ["Na", "Na", "Na", "Na", "Na", "Na", "Na", "Na", "Sn", "Sn", "Sn", "Sn", "Sn", "Sn", "F", "F", "F", "F", "F", "F", "F", "F", "F", "F", "F", "F", "F", "F", "F", "F", "F", "F", "F", "F"],
  "frac_coords": [[0.5558, 0.0978, 0.7526], [0.9022, 0.4442, 0.7474], [0.4442, 0.9022, 0.2474], [0.0978, 0.5558, 0.2526], [0.6569, 0.3431, 0.2500], [0.3431, 0.6569, 0.7500], [0.5472, 0.4528, 0.7500], [0.4528, 0.5472, 0.2500], [0.6639, 0.8267, 0.6630], [0.1733, 0.3361, 0.8370], [0.3361, 0.1733, 0.3370], [0.8267, 0.6639, 0.1630], [0.8422, 0.1578, 0.2500], [0.1578, 0.8422, 0.7500], [0.2033, 0.7212, 0.5165], [0.2788, 0.7967, 0.9835], [0.7967, 0.2788, 0.4835], [0.7212, 0.2033, 0.0165], [0.0973, 0.4373, 0.6089], [0.5627, 0.9027, 0.8911], [0.9027, 0.5627, 0.3911], [0.4373, 0.0973, 0.1089], [0.3469, 0.4434, 0.6136], [0.5566, 0.6531, 0.8864], [0.6531, 0.5566, 0.3864], [0.4434, 0.3469, 0.1136], [0.0095, 0.6536, 0.9369], [0.3464, 0.9905, 0.5631], [0.5041, 0.2568, 0.5482], [0.7432, 0.4959, 0.9518], [0.4959, 0.7432, 0.4518], [0.2568, 0.5041, 0.0482], [0.6536, 0.0095, 0.4369], [0.9905, 0.3464, 0.0631]],
  "sg": "C2/c",
  "dft_energy_ev_per_cell": -158.1,
  "e_form_mev_per_atom": -2776
}

9.
{
  "formula": "Mo6PbS8",
  "functional": "PBE",
  "state": "relaxed",
  "lattice": [[-1.2826, -6.0916, -2.0883], [6.2060, -1.7471, 1.6721], [-2.1804, -1.6024, 6.1200]],
  "species": ["Mo", "Mo", "Mo", "Mo", "Mo", "Mo", "Pb", "S", "S", "S", "S", "S", "S", "S", "S"],
  "frac_coords": [[0.5626, 0.5807, 0.2274], [0.4374, 0.4193, 0.7726], [0.2357, 0.4389, 0.4199], [0.7643, 0.5611, 0.5801], [0.4178, 0.7719, 0.5616], [0.5822, 0.2281, 0.4384], [0.0000, 0.0000, 0.0000], [0.3799, 0.2617, 0.1268], [0.6201, 0.7383, 0.8732], [0.2492, 0.7574, 0.2450], [0.7508, 0.2426, 0.7550], [0.7356, 0.8728, 0.3765], [0.2644, 0.1272, 0.6235], [0.1279, 0.6210, 0.7385], [0.8721, 0.3790, 0.2615]],
  "magnetic_moment_mub_per_fu": 0.00,
  "sg": "P-1",
  "dft_energy_ev_per_cell": -111.8,
  "e_form_mev_per_atom": -929
}

10.
{
  "formula": "CeSmO2",
  "functional": "PBE",
  "state": "relaxed",
  "lattice": [[5.8613, -1.7541, 0.0000], [5.8613, 1.7541, 0.0000], [5.3363, 0.0000, 2.9925]],
  "species": ["Ce", "Sm", "O", "O"],
  "frac_coords": [[0.0000, 0.0000, 0.0000], [0.5000, 0.5000, 0.5000], [0.2478, 0.2478, 0.2478], [0.7522, 0.7522, 0.7522]],
  "magnetic_moment_mub_per_fu": 0.58,
  "sg": "R-3m",
  "dft_energy_ev_per_cell": -31.8,
  "e_above_lowest_polymorph_mev_per_atom": 0.2,
  "e_form_mev_per_atom": -3166
}

11.
{
  "formula": "GePd2",
  "functional": "PBE",
  "state": "relaxed",
  "lattice": [[3.3805, -5.8552, 0.0000], [3.3805, 5.8552, 0.0000], [0.0000, 0.0000, 3.5260]],
  "species": ["Ge", "Ge", "Ge", "Pd", "Pd", "Pd", "Pd", "Pd", "Pd"],
  "frac_coords": [[0.6667, 0.3333, 0.0000], [0.3333, 0.6667, 0.0000], [0.0000, 0.0000, 0.5000], [0.6073, 0.0000, 0.5000], [0.3927, 0.3927, 0.5000], [0.0000, 0.6073, 0.5000], [0.0000, 0.2676, 0.0000], [0.7324, 0.7324, 0.0000], [0.2676, 0.0000, 0.0000]],
  "sg": "P-62m",
  "dft_energy_ev_per_cell": -49.8,
  "e_form_mev_per_atom": -539
}

12.
{
  "formula": "Rb2Be2O3",
  "functional": "PBE",
  "state": "relaxed",
  "lattice": [[-6.4555, -5.8343, 1.4146], [0.2237, -1.4042, -4.7706], [4.1903, -4.9336, -1.2254]],
  "species": ["Rb", "Rb", "Rb", "Rb", "Be", "Be", "Be", "Be", "O", "O", "O", "O", "O", "O"],
  "frac_coords": [[0.3480, 0.7799, 0.9276], [0.1520, 0.7799, 0.4276], [0.8480, 0.2201, 0.5724], [0.6520, 0.2201, 0.0724], [0.5069, 0.6981, 0.5028], [0.0069, 0.3019, 0.9972], [0.9931, 0.6981, 0.0028], [0.4931, 0.3019, 0.4972], [0.5000, 0.0000, 0.5000], [0.0000, 0.0000, 0.0000], [0.9493, 0.6042, 0.8080], [0.4493, 0.3958, 0.6920], [0.5507, 0.6042, 0.3080], [0.0507, 0.3958, 0.1920]],
  "sg": "P2_1/c",
  "dft_energy_ev_per_cell": -77.6,
  "e_above_lowest_polymorph_mev_per_atom": 11.8,
  "e_form_mev_per_atom": -2366
}

13.
{
  "formula": "Li2GaCuF6",
  "functional": "PBE",
  "state": "relaxed",
  "lattice": [[2.0514, -5.1431, -1.4946], [-2.8858, -4.7552, 1.3980], [-2.6284, -3.0618, -4.0756]],
  "species": ["Li", "Li", "Ga", "Cu", "F", "F", "F", "F", "F", "F"],
  "frac_coords": [[0.2500, 0.2500, 0.2500], [0.7500, 0.7500, 0.7500], [0.0000, 0.0000, 0.0000], [0.5000, 0.5000, 0.5000], [0.2366, 0.2366, 0.7634], [0.2366, 0.7634, 0.7634], [0.7634, 0.7634, 0.2366], [0.2366, 0.7634, 0.2366], [0.7634, 0.2366, 0.7634], [0.7634, 0.2366, 0.2366]],
  "magnetic_moment_mub_per_fu": 0.00,
  "sg": "Fm-3m",
  "dft_energy_ev_per_cell": -43.8,
  "e_form_mev_per_atom": -2418
}

14.
{
  "formula": "K2CuTeO7",
  "functional": "PBE",
  "state": "relaxed",
  "lattice": [[-4.5964, -2.4426, 2.2749], [0.4667, -5.6281, -0.6128], [4.9879, -1.7659, 10.6934]],
  "species": ["K", "K", "K", "K", "Cu", "Cu", "Te", "Te", "O", "O", "O", "O", "O", "O", "O", "O", "O", "O", "O", "O", "O", "O"],
  "frac_coords": [[0.0533, 0.5141, 0.8243], [0.4859, 0.9467, 0.6757], [0.9467, 0.4859, 0.1757], [0.5141, 0.0533, 0.3243], [0.0000, 0.0000, 0.5000], [0.0000, 0.0000, 0.0000], [0.0000, 0.5000, 0.5000], [0.5000, 0.0000, 0.0000], [0.9750, 0.2227, 0.6090], [0.7773, 0.0250, 0.8910], [0.0250, 0.7773, 0.3910], [0.2227, 0.9750, 0.1090], [0.0053, 0.2520, 0.3924], [0.7480, 0.9947, 0.1076], [0.9947, 0.7480, 0.6076], [0.2520, 0.0053, 0.8924], [0.3554, 0.3496, 0.5056], [0.6504, 0.6446, 0.9944], [0.6446, 0.6504, 0.4944], [0.3496, 0.3554, 0.0056], [0.6284, 0.3716, 0.7500], [0.3716, 0.6284, 0.2500]],
  "magnetic_moment_mub_per_fu": 2.99,
  "sg": "C2/c",
  "dft_energy_ev_per_cell": -103.5,
  "e_form_mev_per_atom": -1130
}